[1]
Below is BaMg6Ga after structural relaxation, with properties calculated at the PBE level.

Lattice parameters (Å, degrees): 5.077 7.082 11.928 90.00 90.00 90.00
Positions (direct):
Ba  0.000  0.500  0.329
Ba  0.000  0.000  0.829
Mg  0.000  0.264  0.080
Mg  0.000  0.736  0.080
Mg  0.000  0.500  0.837
Mg  0.500  0.284  0.929
Mg  0.500  0.716  0.929
Mg  0.500  0.500  0.666
Mg  0.000  0.764  0.580
Mg  0.000  0.236  0.580
Mg  0.000  0.000  0.337
Mg  0.500  0.784  0.429
Mg  0.500  0.216  0.429
Mg  0.500  0.000  0.166
Ga  0.500  0.500  0.150
Ga  0.500  0.000  0.650

Results
For the total magnetization, the calculation gives 0.001 μB per atom. The raw total energy comes out at -0.130 Ry per atom. The excess energy over the best structure of this formula in the dataset is 0.041 eV/atom.



[2]
Below is BaMg14Ga after structural relaxation, with properties calculated at the PBE level.

Lattice parameters (Å, degrees): 6.569 6.569 10.599 90.00 90.00 120.00
Positions (direct):
Ba  0.000  0.000  0.000
Mg  0.012  0.506  0.000
Mg  0.170  0.340  0.266
Mg  0.170  0.340  0.734
Mg  0.170  0.830  0.266
Mg  0.170  0.830  0.734
Mg  0.494  0.506  0.000
Mg  0.494  0.988  0.000
Mg  0.502  0.005  0.500
Mg  0.502  0.498  0.500
Mg  0.660  0.830  0.266
Mg  0.660  0.830  0.734
Mg  0.667  0.333  0.244
Mg  0.667  0.333  0.756
Mg  0.995  0.498  0.500
Ga  0.000  0.000  0.500

Results
For the total magnetization, the calculation gives 0.000 μB per atom. The raw total energy comes out at -0.121 Ry per atom. The excess energy over the best structure of this formula in the dataset is 0.026 eV/atom.



[3]
Below is Ba3GaN3 after structural relaxation, with properties calculated at the PBE level.

Lattice parameters (Å, degrees): 8.155 8.155 5.798 90.00 90.00 120.00
Positions (direct):
Ba  0.066  0.362  0.250
Ba  0.296  0.934  0.250
Ba  0.362  0.296  0.750
Ba  0.638  0.704  0.250
Ba  0.704  0.066  0.750
Ba  0.934  0.638  0.750
Ga  0.333  0.667  0.750
Ga  0.667  0.333  0.250
N  0.110  0.419  0.750
N  0.309  0.890  0.750
N  0.419  0.309  0.250
N  0.581  0.691  0.750
N  0.691  0.110  0.250
N  0.890  0.581  0.250

Results
The raw total energy comes out at -0.391 Ry per atom.



[4]
Below is Ba5NaGa2Sb6 after structural relaxation, with properties calculated at the PBE level.

Lattice parameters (Å, degrees): 12.823 10.863 14.455 90.00 90.00 90.00
Positions (direct):
Ba  0.079  0.025  0.245
Ba  0.079  0.475  0.245
Ba  0.165  0.250  0.810
Ba  0.171  0.019  0.533
Ba  0.171  0.481  0.533
Ba  0.329  0.519  0.033
Ba  0.329  0.981  0.033
Ba  0.335  0.750  0.310
Ba  0.421  0.525  0.745
Ba  0.421  0.975  0.745
Ba  0.579  0.025  0.255
Ba  0.579  0.475  0.255
Ba  0.665  0.250  0.690
Ba  0.671  0.019  0.967
Ba  0.671  0.481  0.967
Ba  0.829  0.519  0.467
Ba  0.829  0.981  0.467
Ba  0.835  0.750  0.190
Ba  0.921  0.525  0.755
Ba  0.921  0.975  0.755
Na  0.000  0.000  0.000
Na  0.000  0.500  0.000
Na  0.500  0.000  0.500
Na  0.500  0.500  0.500
Ga  0.092  0.750  0.922
Ga  0.191  0.750  0.693
Ga  0.309  0.250  0.193
Ga  0.408  0.250  0.422
Ga  0.592  0.750  0.578
Ga  0.691  0.750  0.807
Ga  0.809  0.250  0.307
Ga  0.908  0.250  0.078
Sb  0.008  0.750  0.584
Sb  0.044  0.750  0.384
Sb  0.123  0.750  0.113
Sb  0.141  0.250  0.066
Sb  0.174  0.559  0.821
Sb  0.174  0.941  0.821
Sb  0.326  0.059  0.321
Sb  0.326  0.441  0.321
Sb  0.359  0.750  0.566
Sb  0.377  0.250  0.613
Sb  0.456  0.250  0.884
Sb  0.492  0.250  0.084
Sb  0.508  0.750  0.916
Sb  0.544  0.750  0.116
Sb  0.623  0.750  0.387
Sb  0.641  0.250  0.434
Sb  0.674  0.559  0.679
Sb  0.674  0.941  0.679
Sb  0.826  0.059  0.179
Sb  0.826  0.441  0.179
Sb  0.859  0.750  0.934
Sb  0.877  0.250  0.887
Sb  0.956  0.250  0.616
Sb  0.992  0.250  0.416

Results
For the total magnetization, the calculation gives 0.000 μB per atom. The raw total energy comes out at -0.276 Ry per atom.



[5]
Below is Ba6Nd2Ga4O15 after structural relaxation, with properties calculated at the PBE level.

Lattice parameters (Å, degrees): 8.155 6.113 18.852 90.00 91.05 90.00
Positions (direct):
Ba  0.000  0.165  0.250
Ba  0.000  0.835  0.750
Ba  0.001  0.256  0.580
Ba  0.001  0.744  0.080
Ba  0.468  0.241  0.909
Ba  0.468  0.759  0.409
Ba  0.500  0.225  0.250
Ba  0.500  0.775  0.750
Ba  0.532  0.241  0.591
Ba  0.532  0.759  0.091
Ba  0.999  0.256  0.920
Ba  0.999  0.744  0.420
Nd  0.252  0.245  0.090
Nd  0.252  0.755  0.590
Nd  0.748  0.245  0.410
Nd  0.748  0.755  0.910
Ga  0.253  0.254  0.439
Ga  0.253  0.746  0.939
Ga  0.271  0.278  0.736
Ga  0.271  0.722  0.236
Ga  0.729  0.278  0.764
Ga  0.729  0.722  0.264
Ga  0.747  0.254  0.061
Ga  0.747  0.746  0.561
O  0.037  0.258  0.405
O  0.037  0.742  0.905
O  0.192  0.177  0.820
O  0.192  0.823  0.320
O  0.227  0.452  0.196
O  0.227  0.548  0.696
O  0.246  0.060  0.666
O  0.246  0.940  0.166
O  0.263  0.498  0.000
O  0.263  0.502  0.500
O  0.265  0.007  0.499
O  0.265  0.993  0.999
O  0.449  0.260  0.389
O  0.449  0.740  0.889
O  0.500  0.289  0.750
O  0.500  0.711  0.250
O  0.551  0.260  0.111
O  0.551  0.740  0.611
O  0.735  0.007  0.001
O  0.735  0.993  0.501
O  0.737  0.498  0.500
O  0.737  0.502  0.000
O  0.754  0.060  0.834
O  0.754  0.940  0.334
O  0.773  0.452  0.304
O  0.773  0.548  0.804
O  0.808  0.177  0.680
O  0.808  0.823  0.180
O  0.963  0.258  0.095
O  0.963  0.742  0.595

Results
The raw total energy comes out at -0.481 Ry per atom.